1.
Compound: Ca2TaCoO6
Source: the Materials Project database
Functional: GGA+U
Structure: optimized geometry

Cell lengths 7.7223, 5.4782, 5.6583 Å; angles 89.41, 90.00, 90.00 degrees
Last column: nearest neighbours and their distance in Å.
Element x y z (fractional)
O  0.2500  0.9050  0.5296  2 Ta 2.01
O  0.9512  0.8026  0.7887  1 Ta 1.99, 1 Co 2.07
Ca  0.2500  0.0182  0.9553  6 O 2.35-2.61
Co  0.0000  0.5000  0.0000  6 O 1.98-2.10
Ca  0.7500  0.9818  0.0447  6 O 2.35-2.61
O  0.7500  0.0950  0.4704  2 Ta 2.01
O  0.4556  0.2901  0.6977  1 Ta 1.98, 1 Co 2.10
Co  0.5000  0.5000  0.0000  6 O 1.98-2.10
Ca  0.2500  0.4877  0.4313  6 O 2.36-2.56
O  0.0444  0.2901  0.6977  1 Ta 1.98, 1 Co 2.10
O  0.7500  0.4215  0.9847  2 Co 1.98
O  0.5444  0.7099  0.3023  1 Ta 1.98, 1 Co 2.10
O  0.2500  0.5785  0.0153  2 Co 1.98
O  0.9556  0.7099  0.3023  1 Ta 1.98, 1 Co 2.10
O  0.4512  0.1974  0.2113  1 Ta 1.99, 1 Co 2.07
Ta  0.5000  0.0000  0.5000  6 O 1.98-2.01
Ca  0.7500  0.5123  0.5687  6 O 2.36-2.56
O  0.0488  0.1974  0.2113  1 Ta 1.99, 1 Co 2.07
Ta  0.0000  0.0000  0.5000  6 O 1.98-2.01
O  0.5488  0.8026  0.7887  1 Ta 1.99, 1 Co 2.07

* ρ: 5.773 g/cm³
* magnetization: 8.0 Bohr magnetons per cell
* space-group type: P2_1/m, No. 11
* formation enthalpy at 0 K: -2.892 eV per atom

=====

2.
Compound: CaTa2CoO7
Source: the Materials Project database
Functional: GGA+U
Structure: optimized geometry

Cell lengths 15.1431, 7.1672, 11.8037 Å; angles 77.96, 90.00, 90.00 degrees
Last column: nearest neighbours and their distance in Å.
Element x y z (fractional)
O  0.3588  0.9914  0.6290  1 Ta 1.86
Co  0.6687  0.3571  0.0792  4 O 2.00-2.12
O  0.3895  0.4363  0.2932  2 Ta 1.95-2.00
O  0.7992  0.3857  0.9448  2 Ta 1.92-2.13
O  0.2008  0.6143  0.0552  2 Ta 1.92-2.13
Ta  0.2826  0.5063  0.2013  4 O 1.84-1.98
Ca  0.4897  0.0601  0.2706  5 O 2.33-2.57
Ca  0.9897  0.9399  0.2294  5 O 2.33-2.57
O  0.7750  0.7240  0.7851  1 Ta 1.84, 1 Co 2.04
O  0.5570  0.3712  0.1855  1 Ta 1.86
O  0.8588  0.0086  0.8710  1 Ta 1.86
O  0.5216  0.7241  0.2945  1 Ta 1.85
O  0.3642  0.0271  0.1420  1 Ta 1.85
O  0.0216  0.2759  0.2055  1 Ta 1.85
O  0.1412  0.9914  0.1290  1 Ta 1.86
O  0.1401  0.9885  0.8773  1 Ta 1.85
O  0.6670  0.0607  0.1004  1 Ta 1.89, 1 Co 2.09
O  0.7250  0.7240  0.2851  1 Ta 1.84, 1 Co 2.04
Ta  0.2174  0.5063  0.7013  4 O 1.84-1.98
O  0.2554  0.6939  0.7790  1 Ta 1.87, 1 Co 2.00
O  0.2446  0.6939  0.2790  1 Ta 1.87, 1 Co 2.00
Ta  0.9842  0.4227  0.3083  5 O 1.85-2.06
O  0.2750  0.2760  0.7149  1 Ta 1.84, 1 Co 2.04
O  0.7554  0.3061  0.7210  1 Ta 1.87, 1 Co 2.00
Ca  0.8713  0.6867  0.9607  6 O 2.34-2.52
Ta  0.0158  0.5773  0.6917  5 O 1.85-2.06
O  0.2250  0.2760  0.2149  1 Ta 1.84, 1 Co 2.04
O  0.2793  0.3287  0.9567  1 Ta 1.86
O  0.8642  0.9729  0.3580  1 Ta 1.85
Ca  0.3713  0.3133  0.5393  6 O 2.34-2.52
O  0.9784  0.7241  0.7945  1 Ta 1.85
O  0.7207  0.6713  0.0433  1 Ta 1.86
O  0.1105  0.4363  0.7932  2 Ta 1.95-2.00
O  0.3599  0.9885  0.3773  1 Ta 1.85
Co  0.1687  0.6429  0.4208  4 O 2.00-2.12
O  0.4430  0.6288  0.8145  1 Ta 1.86
O  0.6241  0.4113  0.9154  2 Ta 1.98-2.06, 1 Co 2.01
O  0.6401  0.0115  0.6227  1 Ta 1.85
O  0.7008  0.3857  0.4448  2 Ta 1.92-2.13
O  0.1241  0.5887  0.5846  2 Ta 1.98-2.06, 1 Co 2.01
O  0.8599  0.0115  0.1227  1 Ta 1.85
Ta  0.7826  0.4937  0.2987  4 O 1.84-1.98
Ta  0.3748  0.8349  0.5229  4 O 1.83-1.92
Ta  0.1405  0.1287  0.4841  4 O 1.85-1.89
Co  0.8313  0.3571  0.5792  4 O 2.00-2.12
Ca  0.5103  0.9399  0.7294  5 O 2.33-2.57
Ta  0.4842  0.5773  0.1917  5 O 1.85-2.06
Co  0.2545  0.9919  0.2564  6 O 2.04-2.28
O  0.2207  0.3287  0.4567  1 Ta 1.86
O  0.1358  0.0271  0.6420  1 Ta 1.85
O  0.0273  0.2319  0.4456  2 Ta 1.88-2.00
O  0.9727  0.7681  0.5544  2 Ta 1.88-2.00
O  0.3330  0.9393  0.8996  1 Ta 1.89, 1 Co 2.09
Co  0.2455  0.9919  0.7564  6 O 2.04-2.28
O  0.0084  0.7680  0.0389  1 Ta 1.83
Ta  0.1252  0.8349  0.0229  4 O 1.83-1.92
O  0.9430  0.3712  0.6855  1 Ta 1.86
O  0.5084  0.2320  0.4611  1 Ta 1.83
O  0.8330  0.0607  0.6004  1 Ta 1.89, 1 Co 2.09
O  0.3759  0.5887  0.0846  2 Ta 1.98-2.06, 1 Co 2.01
Co  0.3313  0.6429  0.9208  4 O 2.00-2.12
O  0.1670  0.9393  0.3996  1 Ta 1.89, 1 Co 2.09
Ca  0.0103  0.0601  0.7706  5 O 2.33-2.57
Ca  0.1287  0.3133  0.0393  6 O 2.34-2.52
O  0.2992  0.6143  0.5552  2 Ta 1.92-2.13
O  0.6105  0.5637  0.7068  2 Ta 1.95-2.00
O  0.4727  0.2319  0.9456  2 Ta 1.88-2.00
Ta  0.7174  0.4937  0.7987  4 O 1.84-1.98
O  0.7446  0.3061  0.2210  1 Ta 1.87, 1 Co 2.00
Co  0.7545  0.0081  0.2436  6 O 2.04-2.28
O  0.0570  0.6288  0.3145  1 Ta 1.86
Ta  0.5158  0.4227  0.8083  5 O 1.85-2.06
O  0.4916  0.7680  0.5389  1 Ta 1.83
O  0.5273  0.7681  0.0544  2 Ta 1.88-2.00
Ta  0.6405  0.8713  0.0159  4 O 1.85-1.89
O  0.7793  0.6713  0.5433  1 Ta 1.86
O  0.8895  0.5637  0.2068  2 Ta 1.95-2.00
O  0.9916  0.2320  0.9611  1 Ta 1.83
O  0.4784  0.2759  0.7055  1 Ta 1.85
Ta  0.8595  0.8713  0.5159  4 O 1.85-1.89
O  0.6358  0.9729  0.8580  1 Ta 1.85
Ta  0.6252  0.1651  0.4771  4 O 1.83-1.92
Ta  0.8748  0.1651  0.9771  4 O 1.83-1.92
Ca  0.6287  0.6867  0.4607  6 O 2.34-2.52
O  0.6412  0.0086  0.3710  1 Ta 1.86
O  0.8759  0.4113  0.4154  2 Ta 1.98-2.06, 1 Co 2.01
Ta  0.3595  0.1287  0.9841  4 O 1.85-1.89
Co  0.7455  0.0081  0.7436  6 O 2.04-2.28

* ρ: 6.074 g/cm³
* magnetization: 3.1 Bohr magnetons per cell
* space-group type: P2_1/c, No. 14
* formation enthalpy at 0 K: -2.848 eV per atom

=====

3.
Compound: Ca2CoTeO6
Source: the Materials Project database
Functional: GGA+U
Structure: optimized geometry

Cell lengths 7.8962, 7.8945, 9.5281 Å; angles 113.50, 113.51, 91.68 degrees
Last column: nearest neighbours and their distance in Å.
Element x y z (fractional)
O  0.5897  0.5555  0.7408  1 Te 1.96, 1 Co 2.10
O  0.9873  0.7720  0.9472  1 Te 1.96, 1 Co 2.14
O  0.8218  0.5133  0.0458  1 Te 1.96, 1 Co 2.13
Ca  0.1438  0.5921  0.2489  5 O 2.35-2.61
Ca  0.1579  0.1062  0.2511  5 O 2.35-2.61
O  0.9780  0.2626  0.5528  1 Te 1.96, 1 Co 2.14
Te  0.0000  0.0000  0.5000  6 O 1.96
O  0.0896  0.0554  0.7407  1 Te 1.96, 1 Co 2.11
Te  0.7500  0.2500  0.0001  6 O 1.96
O  0.5128  0.7280  0.0528  1 Te 1.96, 1 Co 2.14
Ca  0.8421  0.8939  0.7489  5 O 2.35-2.61
O  0.1946  0.6604  0.7594  1 Te 1.96, 1 Co 2.11
O  0.0125  0.2280  0.0528  1 Te 1.96, 1 Co 2.15
Co  0.2500  0.2500  0.0000  6 O 2.11-2.15
O  0.2633  0.0718  0.5458  1 Te 1.96, 1 Co 2.13
Te  0.5000  0.5000  0.4999  6 O 1.96
Ca  0.8561  0.4079  0.7511  5 O 2.35-2.61
Ca  0.6579  0.6061  0.2511  5 O 2.35-2.61
O  0.6945  0.1603  0.7592  1 Te 1.96, 1 Co 2.10
O  0.1782  0.4868  0.9542  1 Te 1.96, 1 Co 2.13
O  0.4780  0.7628  0.5528  1 Te 1.96, 1 Co 2.14
O  0.7631  0.5718  0.5459  1 Te 1.96, 1 Co 2.13
Co  0.5000  0.0000  0.5000  6 O 2.10-2.14
O  0.0220  0.7374  0.4471  1 Te 1.96, 1 Co 2.14
O  0.3218  0.0132  0.0459  1 Te 1.96, 1 Co 2.13
O  0.7367  0.9282  0.4542  1 Te 1.96, 1 Co 2.13
Co  0.0000  0.5000  0.5000  6 O 2.11-2.14
Ca  0.6438  0.0921  0.2489  5 O 2.35-2.61
O  0.2369  0.4282  0.4542  1 Te 1.96, 1 Co 2.13
O  0.4104  0.4446  0.2593  1 Te 1.96, 1 Co 2.11
O  0.5220  0.2372  0.4472  1 Te 1.96, 1 Co 2.14
O  0.8054  0.3396  0.2407  1 Te 1.96, 1 Co 2.11
Ca  0.3421  0.3938  0.7489  5 O 2.35-2.61
O  0.3055  0.8397  0.2408  1 Te 1.96, 1 Co 2.10
Co  0.7500  0.7500  0.0000  6 O 2.10-2.14
Ca  0.3562  0.9079  0.7511  5 O 2.35-2.61
Te  0.2500  0.7500  0.9999  6 O 1.96
O  0.4875  0.2720  0.9471  1 Te 1.96, 1 Co 2.15
O  0.9103  0.9445  0.2592  1 Te 1.96, 1 Co 2.10
O  0.6782  0.9866  0.9542  1 Te 1.96, 1 Co 2.13

* ρ: 4.948 g/cm³
* magnetization: 0.0 Bohr magnetons per cell
* formation enthalpy at 0 K: -2.357 eV per atom